Record 1
LiNdW2O8: relaxed, PBE+U.

POSCAR file:
```
LiNdW2O8
1.0
7.2220 0.0000 0.0000
-0.1963 7.4467 0.0000
-3.2503 -3.1239 6.0412
Li Nd W O
2 2 4 16
Direct
0.2494 0.3235 0.4902 Li
0.7506 0.6765 0.5098 Li
0.3159 0.7125 0.0387 Nd
0.6841 0.2875 0.9613 Nd
0.1473 0.1045 0.7863 W
0.2382 0.7069 0.4702 W
0.7618 0.2931 0.5298 W
0.8527 0.8955 0.2137 W
0.0188 0.1723 0.4911 O
0.0524 0.4625 0.2488 O
0.1153 0.8282 0.2399 O
0.2069 0.0091 0.9831 O
0.3156 0.6354 0.6933 O
0.3217 0.3611 0.9389 O
0.3632 0.0107 0.6997 O
0.4574 0.6957 0.4072 O
0.5426 0.3043 0.5928 O
0.6368 0.9893 0.3003 O
0.6783 0.6389 0.0611 O
0.6844 0.3646 0.3067 O
0.7931 0.9910 0.0169 O
0.8847 0.1718 0.7601 O
0.9476 0.5375 0.7512 O
0.9812 0.8277 0.5089 O
```

Results
- E (MP2020) (eV/atom) = -8.66
- relative energy among the computed polymorphs (meV per atom) = 0
- size of the total moment (μB/atom) = 0.000
- DFT total energy (eV per formula unit) = -89.51
- energy of formation from the pure elements (kJ/mol of formula units) = -3059


Record 2
LiNdW2O8: relaxed, PBE+U.

POSCAR file:
```
LiNdW2O8
1.0
-2.6726 2.6726 5.7084
2.6726 -2.6726 5.7084
2.6726 2.6726 -5.7084
Li Nd W O
1 1 2 8
Direct
0.0000 0.0000 0.0000 Li
0.7500 0.2500 0.5000 Nd
0.2500 0.7500 0.5000 W
0.5000 0.5000 0.0000 W
0.0068 0.9065 0.5858 O
0.0935 0.6793 0.1003 O
0.1705 0.2593 0.6077 O
0.3207 0.4211 0.4142 O
0.4372 0.8295 0.0888 O
0.5789 0.9932 0.8997 O
0.6515 0.5627 0.3923 O
0.7407 0.3485 0.9112 O
```

Results
- E (MP2020) (eV/atom) = -8.59
- relative energy among the computed polymorphs (meV per atom) = 65
- size of the total moment (μB/atom) = 0.000
- DFT total energy (eV per formula unit) = -88.73
- energy of formation from the pure elements (kJ/mol of formula units) = -2984